Density functional theory data (PBE) for a relaxed structure of Na3AlSiGeP2O12.

a = 14.9823 Å, b = 8.6173 Å, c = 21.5640 Å
α = 90.00°, β = 90.38°, γ = 90.00°
With the nearest neighbours (Å) after each atom.
Space group Cc (No. 9)
Unique sites:
Na (0.0000, 0.0009, 0.0000) [4 per cell]  6 O 2.40-2.50
Na (0.0023, 0.3636, 0.2505) [4 per cell]  6 O 2.30-2.55
Na (0.1542, 0.1871, 0.0858) [4 per cell]  5 O 2.30-2.57
Na (0.1660, 0.4914, 0.6667) [4 per cell]  6 O 2.43-2.49
Na (0.1674, 0.1350, 0.4157) [4 per cell]  5 O 2.31-2.49
Na (0.3179, 0.3121, 0.2505) [4 per cell]  6 O 2.36-2.57
Na (0.3333, 0.0019, 0.3335) [4 per cell]  6 O 2.36-2.49
Na (0.3342, 0.3679, 0.5832) [4 per cell]  6 O 2.35-2.60
Na (0.3513, 0.3198, 0.9193) [4 per cell]  5 O 2.29-2.50
Al (0.0021, 0.0065, 0.8549) [4 per cell]  5 O 1.82-1.96
Al (0.1710, 0.5000, 0.0212) [4 per cell]  6 O 1.84-2.01
Al (0.3302, 0.0009, 0.1882) [4 per cell]  5 O 1.81-1.96
Si (0.1462, 0.1359, 0.2534) [4 per cell]  4 O 1.60-1.70
Si (0.3167, 0.3538, 0.4198) [4 per cell]  4 O 1.61-1.67
Si (0.3372, 0.2873, 0.0860) [4 per cell]  4 O 1.61-1.66
Ge (0.0023, 0.0066, 0.6498) [4 per cell]  6 O 1.84-2.06
Ge (0.1689, 0.4945, 0.3163) [4 per cell]  6 O 1.85-2.00
Ge (0.3386, 0.0020, 0.4829) [4 per cell]  5 O 1.83-1.97
P (0.0041, 0.2879, 0.7528) [4 per cell]  4 O 1.52-1.56
P (0.0246, 0.3604, 0.4192) [4 per cell]  4 O 1.52-1.57
P (0.1653, 0.2152, 0.9191) [4 per cell]  4 O 1.53-1.58
P (0.1900, 0.1465, 0.5852) [4 per cell]  4 O 1.53-1.58
P (0.3561, 0.3524, 0.7523) [4 per cell]  4 O 1.53-1.58
P (0.4800, 0.1387, 0.5867) [4 per cell]  4 O 1.52-1.58
O (0.0141, 0.1822, 0.4128) [4 per cell]  1 P 1.55
O (0.0219, 0.1910, 0.6931) [4 per cell]  1 P 1.56
O (0.0619, 0.4344, 0.3581) [4 per cell]  1 P 1.57
O (0.0730, 0.4309, 0.0778) [4 per cell]  1 P 1.53
O (0.0809, 0.1228, 0.1905) [4 per cell]  1 Si 1.67, 1 Ge 1.84
O (0.0850, 0.1068, 0.9120) [4 per cell]  1 P 1.53
O (0.0863, 0.3870, 0.4744) [4 per cell]  1 P 1.52
O (0.0884, 0.3932, 0.7591) [4 per cell]  1 P 1.56
O (0.0975, 0.0641, 0.5910) [4 per cell]  1 P 1.56
O (0.0984, 0.0686, 0.3138) [4 per cell]  1 Si 1.60
O (0.1516, 0.3120, 0.9775) [4 per cell]  1 P 1.53
O (0.1546, 0.3326, 0.2565) [4 per cell]  1 Si 1.70
O (0.1797, 0.3219, 0.5772) [4 per cell]  1 P 1.53
O (0.1877, 0.3182, 0.8612) [4 per cell]  1 P 1.57
O (0.2282, 0.0636, 0.5257) [4 per cell]  1 P 1.58
O (0.2461, 0.0681, 0.2460) [4 per cell]  1 Si 1.62
O (0.2482, 0.3973, 0.0787) [4 per cell]  1 Si 1.64
O (0.2507, 0.3709, 0.3574) [4 per cell]  1 Si 1.67, 1 Ge 1.85
O (0.2518, 0.1107, 0.9230) [4 per cell]  1 P 1.58
O (0.2526, 0.1232, 0.6406) [4 per cell]  1 P 1.53
O (0.2623, 0.4298, 0.7579) [4 per cell]  1 P 1.56
O (0.2706, 0.4354, 0.4788) [4 per cell]  1 Si 1.61
O (0.3171, 0.1803, 0.1452) [4 per cell]  1 Si 1.61
O (0.3205, 0.1619, 0.4262) [4 per cell]  1 Si 1.66
O (0.3503, 0.1764, 0.7433) [4 per cell]  1 P 1.53
O (0.3543, 0.1848, 0.0221) [4 per cell]  1 Si 1.66, 1 Ge 1.83
O (0.3945, 0.4372, 0.6933) [4 per cell]  1 P 1.58
O (0.4120, 0.4371, 0.4099) [4 per cell]  1 Si 1.61
O (0.4158, 0.3782, 0.8094) [4 per cell]  1 P 1.53
O (0.4169, 0.1257, 0.5284) [4 per cell]  1 P 1.57
O (0.4221, 0.1040, 0.2450) [4 per cell]  1 P 1.55
O (0.4247, 0.4049, 0.0920) [4 per cell]  1 Si 1.66
O (0.4287, 0.0694, 0.9233) [4 per cell]  1 P 1.56
O (0.4367, 0.0719, 0.6446) [4 per cell]  1 P 1.52
O (0.4826, 0.3154, 0.3079) [4 per cell]  1 P 1.52
O (0.4895, 0.3210, 0.5903) [4 per cell]  1 P 1.58

Calculated values
ΔH_f (0 K) in kJ/mol of atoms: -260
Crystal system: monoclinic
Electronic total energy in eV/cell: -1604.36
Spin magnetization in μB per formula unit: 0.00